[1]
{"formula": "Li7SbO6", "functional": "r2SCAN", "state": "optimized geometry", "volume_a3_per_fu": 124.8, "formation_energy_ev_per_fu": -29.0, "lattice_angstrom": [[5.321, 0.009, 0.000], [2.613, 4.705, -0.001], [2.508, 1.559, 4.989]], "species": ["Li", "Li", "O", "Li", "O", "O", "Li", "Li", "O", "Sb", "Li", "O", "Li", "O"], "fractional_positions": [[0.913, 0.241, 0.354], [0.348, 0.348, 0.992], [0.631, 0.219, 0.233], [0.620, 0.639, 0.054], [0.784, 0.097, 0.745], [0.383, 0.765, 0.766], [0.498, 0.899, 0.371], [0.477, 0.147, 0.617], [0.892, 0.632, 0.232], [0.005, 0.986, 0.006], [0.794, 0.500, 0.624], [0.235, 0.915, 0.237], [0.105, 0.739, 0.620], [0.088, 0.364, 0.792]]}

***

[2]
{"formula": "LiSbTe3O12", "functional": "r2SCAN", "state": "optimized geometry", "volume_a3_per_fu": 190.9, "formation_energy_ev_per_fu": -21.2, "lattice_angstrom": [[2.041, 2.914, -3.507], [-2.386, -2.834, -3.749], [-5.976, 4.136, -0.048]], "species": ["O", "Te", "O", "O", "O", "O", "Te", "O", "Te", "Li", "O", "Sb", "O", "O", "O", "O", "O"], "fractional_positions": [[0.670, 0.825, 0.940], [0.001, 0.003, 0.507], [0.307, 0.210, 0.073], [0.879, 0.028, 0.260], [0.689, 0.196, 0.573], [0.815, 0.691, 0.571], [0.498, 0.510, 0.998], [0.187, 0.688, 0.073], [0.502, 0.508, 0.506], [0.001, 0.422, 0.212], [0.365, 0.504, 0.751], [0.998, 0.004, 0.999], [0.312, 0.817, 0.436], [0.819, 0.337, 0.952], [0.136, 0.006, 0.747], [0.633, 0.516, 0.256], [0.188, 0.322, 0.439]]}

***

[3]
{"formula": "Li2SeO4", "functional": "r2SCAN", "state": "optimized geometry", "volume_a3_per_fu": 86.8, "formation_energy_ev_per_fu": -11.1, "lattice_angstrom": [[-3.663, 7.394, 2.488], [1.504, 0.524, -8.471], [-5.709, -6.330, 1.277]], "species": ["Se", "O", "O", "O", "O", "Li", "Se", "O", "O", "O", "Li", "O", "O", "Se", "Li", "O", "Li", "Li", "O", "O", "O", "Se", "Li", "Li", "O", "O", "O", "O", "Se", "O", "O", "Li", "Li", "Li", "O", "O", "Se", "Li", "O", "O", "O", "Li"], "fractional_positions": [[0.551, 0.962, 0.736], [0.185, 0.234, 0.897], [0.748, 0.430, 0.076], [0.534, 0.853, 0.862], [0.076, 0.748, 0.430], [0.778, 0.378, 0.600], [0.736, 0.551, 0.962], [0.924, 0.252, 0.570], [0.897, 0.185, 0.234], [0.472, 0.811, 0.525], [0.378, 0.600, 0.778], [0.815, 0.766, 0.103], [0.525, 0.472, 0.811], [0.264, 0.449, 0.038], [0.622, 0.400, 0.222], [0.570, 0.924, 0.252], [0.108, 0.705, 0.935], [0.400, 0.222, 0.622], [0.103, 0.815, 0.766], [0.252, 0.570, 0.924], [0.189, 0.475, 0.528], [0.962, 0.736, 0.551], [0.295, 0.065, 0.892], [0.892, 0.295, 0.065], [0.862, 0.534, 0.853], [0.811, 0.525, 0.472], [0.234, 0.897, 0.185], [0.138, 0.466, 0.147], [0.038, 0.264, 0.449], [0.528, 0.189, 0.475], [0.430, 0.076, 0.748], [0.065, 0.892, 0.295], [0.935, 0.108, 0.705], [0.705, 0.935, 0.108], [0.766, 0.103, 0.815], [0.466, 0.147, 0.138], [0.449, 0.038, 0.264], [0.222, 0.622, 0.400], [0.853, 0.862, 0.534], [0.147, 0.138, 0.466], [0.475, 0.528, 0.189], [0.600, 0.778, 0.378]]}

***

[4]
{"formula": "Li8SiO6", "functional": "r2SCAN", "state": "optimized geometry", "volume_a3_per_fu": 131.9, "formation_energy_ev_per_fu": -35.6, "lattice_angstrom": [[2.688, -4.655, 0.000], [2.688, 4.655, 0.000], [0.000, 0.000, 10.539]], "species": ["Li", "O", "Li", "Li", "Li", "Li", "O", "Si", "O", "O", "O", "Si", "Li", "O", "Li", "Li", "O", "O", "Li", "Li", "O", "Li", "O", "O", "Li", "Li", "Li", "Li", "O", "Li"], "fractional_positions": [[0.667, 0.333, 0.411], [0.667, 0.333, 0.220], [0.691, 0.000, 0.770], [0.667, 0.333, 0.911], [0.309, 0.309, 0.770], [0.000, 0.309, 0.270], [0.290, 0.290, 0.953], [0.000, 0.000, 0.500], [0.000, 0.000, 0.658], [0.333, 0.667, 0.720], [0.710, 0.710, 0.453], [0.000, 0.000, 0.000], [0.333, 0.667, 0.911], [0.000, 0.290, 0.453], [0.606, 0.606, 0.629], [0.000, 0.606, 0.129], [0.000, 0.000, 0.158], [0.667, 0.333, 0.720], [0.394, 0.394, 0.129], [0.691, 0.691, 0.270], [0.290, 0.000, 0.453], [0.394, 0.000, 0.629], [0.000, 0.710, 0.953], [0.333, 0.667, 0.220], [0.309, 0.000, 0.270], [0.000, 0.394, 0.629], [0.606, 0.000, 0.129], [0.333, 0.667, 0.411], [0.710, 0.000, 0.953], [0.000, 0.691, 0.770]]}

***

[5]
{"formula": "LiVSiO5", "functional": "r2SCAN", "state": "optimized geometry", "volume_a3_per_fu": 89.9, "formation_energy_ev_per_fu": -21.3, "lattice_angstrom": [[-0.410, -6.033, -1.210], [3.653, 0.310, -2.787], [4.181, -1.210, 4.617]], "species": ["O", "Si", "Si", "V", "O", "O", "Li", "O", "Li", "O", "O", "O", "O", "V", "O", "O"], "fractional_positions": [[0.750, 0.246, 0.697], [0.750, 0.018, 0.254], [0.250, 0.982, 0.746], [0.250, 0.103, 0.249], [0.750, 0.859, 0.033], [0.750, 0.773, 0.449], [0.000, 0.500, 0.500], [0.964, 0.226, 0.266], [0.500, 0.500, 0.500], [0.250, 0.227, 0.551], [0.250, 0.754, 0.303], [0.250, 0.141, 0.967], [0.464, 0.774, 0.734], [0.750, 0.897, 0.751], [0.536, 0.226, 0.266], [0.036, 0.774, 0.734]]}

***

[6]
{"formula": "LiSmO2", "functional": "r2SCAN", "state": "optimized geometry", "volume_a3_per_fu": 47.2, "formation_energy_ev_per_fu": -12.5, "lattice_angstrom": [[5.996, 0.000, 0.000], [0.000, 5.672, -0.006], [0.000, 1.252, 5.545]], "species": ["Sm", "Sm", "O", "O", "Li", "O", "Li", "Li", "O", "O", "Sm", "O", "Li", "O", "Sm", "O"], "fractional_positions": [[0.070, 0.304, 0.798], [0.930, 0.696, 0.202], [0.633, 0.795, 0.428], [0.261, 0.483, 0.086], [0.639, 0.323, 0.663], [0.761, 0.017, 0.914], [0.361, 0.677, 0.337], [0.861, 0.823, 0.663], [0.867, 0.295, 0.428], [0.367, 0.205, 0.572], [0.570, 0.196, 0.202], [0.239, 0.983, 0.086], [0.139, 0.177, 0.337], [0.739, 0.517, 0.914], [0.430, 0.804, 0.798], [0.133, 0.705, 0.572]]}

***

[7]
{"formula": "Li2ZnSn3O8", "functional": "r2SCAN", "state": "optimized geometry", "volume_a3_per_fu": 158.2, "formation_energy_ev_per_fu": -27.3, "lattice_angstrom": [[-10.243, -0.494, 2.349], [3.366, -2.910, -9.534], [1.194, -9.285, 3.255]], "species": ["O", "O", "O", "Sn", "Zn", "O", "Sn", "O", "O", "O", "O", "Li", "Sn", "O", "Li", "O", "O", "Sn", "O", "O", "O", "Sn", "O", "O", "O", "O", "Zn", "O", "O", "O", "O", "Sn", "Sn", "O", "Li", "Li", "O", "O", "Sn", "O", "O", "Sn", "Li", "O", "Li", "O", "O", "O", "O", "O", "Li", "Li", "O", "Zn", "O", "O", "Sn", "Sn", "Sn", "Sn", "Sn", "Li", "O", "Zn", "O", "Sn", "O", "O", "Li", "Sn", "Sn", "Sn", "O", "Li", "O", "Li", "O", "O", "O", "O", "Zn", "O", "Zn", "O"], "fractional_positions": [[0.999, 0.833, 0.617], [0.842, 0.842, 0.112], [0.482, 0.482, 0.867], [0.017, 0.842, 0.996], [0.999, 0.334, 0.806], [0.336, 0.666, 0.897], [0.681, 0.508, 0.496], [0.496, 0.665, 0.109], [0.008, 0.490, 0.359], [0.498, 0.168, 0.117], [0.997, 0.667, 0.104], [0.834, 0.834, 0.492], [0.506, 0.161, 0.498], [0.992, 0.510, 0.859], [0.167, 0.666, 0.991], [0.665, 0.496, 0.109], [0.003, 0.333, 0.604], [0.319, 0.492, 0.996], [0.510, 0.992, 0.859], [0.664, 0.334, 0.397], [0.850, 0.669, 0.871], [0.004, 0.667, 0.718], [0.821, 0.152, 0.860], [0.666, 0.336, 0.897], [0.169, 0.665, 0.616], [0.001, 0.167, 0.117], [0.334, 0.999, 0.806], [0.832, 0.502, 0.617], [0.667, 0.997, 0.104], [0.335, 0.831, 0.116], [0.152, 0.821, 0.860], [0.494, 0.839, 0.998], [0.839, 0.494, 0.998], [0.518, 0.518, 0.367], [0.166, 0.166, 0.992], [0.019, 0.019, 0.216], [0.490, 0.008, 0.359], [0.333, 0.003, 0.604], [0.158, 0.983, 0.496], [0.665, 0.169, 0.616], [0.661, 0.816, 0.356], [0.329, 0.329, 0.716], [0.334, 0.833, 0.491], [0.504, 0.335, 0.609], [0.696, 0.334, 0.719], [0.167, 0.001, 0.117], [0.663, 0.663, 0.607], [0.335, 0.504, 0.609], [0.334, 0.664, 0.397], [0.168, 0.498, 0.117], [0.304, 0.666, 0.219], [0.981, 0.981, 0.716], [0.816, 0.661, 0.356], [0.668, 0.668, 0.809], [0.339, 0.184, 0.856], [0.831, 0.335, 0.116], [0.667, 0.004, 0.718], [0.983, 0.158, 0.496], [0.671, 0.671, 0.216], [0.842, 0.017, 0.996], [0.333, 0.996, 0.218], [0.666, 0.304, 0.219], [0.848, 0.179, 0.360], [0.332, 0.332, 0.309], [0.331, 0.150, 0.371], [0.996, 0.333, 0.218], [0.669, 0.850, 0.871], [0.184, 0.339, 0.856], [0.833, 0.334, 0.491], [0.492, 0.319, 0.996], [0.161, 0.506, 0.498], [0.508, 0.681, 0.496], [0.001, 0.001, 0.397], [0.334, 0.696, 0.719], [0.833, 0.999, 0.617], [0.666, 0.167, 0.991], [0.502, 0.832, 0.617], [0.150, 0.331, 0.371], [0.179, 0.848, 0.360], [0.158, 0.158, 0.612], [0.001, 0.666, 0.306], [0.337, 0.337, 0.107], [0.666, 0.001, 0.306], [0.999, 0.999, 0.897]]}

***

[8]
{"formula": "Sr2LiYbUO6", "functional": "r2SCAN", "state": "optimized geometry", "volume_a3_per_fu": 169.2, "polymorph_energy_ev_per_atom": 0.012, "formation_energy_ev_per_fu": -33.8, "lattice_angstrom": [[-4.581, -4.298, 0.025], [-4.581, 0.025, -4.298], [0.000, -4.273, -4.273]], "species": ["Sr", "O", "O", "O", "U", "O", "Li", "O", "Yb", "O", "Sr"], "fractional_positions": [[0.693, 0.693, 0.807], [0.253, 0.253, 0.747], [0.252, 0.748, 0.251], [0.747, 0.747, 0.253], [0.000, 0.000, 0.000], [0.252, 0.748, 0.749], [0.000, 0.000, 0.500], [0.748, 0.252, 0.251], [0.500, 0.500, 0.500], [0.748, 0.252, 0.749], [0.307, 0.307, 0.193]]}

***

[9]
{"formula": "Sr2LiYbUO6", "functional": "r2SCAN", "state": "optimized geometry", "volume_a3_per_fu": 172.8, "polymorph_energy_ev_per_atom": 0.000, "formation_energy_ev_per_fu": -33.9, "lattice_angstrom": [[5.625, 1.882, 0.464], [1.841, 4.683, -3.174], [0.990, 5.629, 3.303]], "species": ["Li", "U", "O", "O", "O", "Yb", "Sr", "O", "Sr", "O", "O"], "fractional_positions": [[0.869, 0.869, 0.392], [0.018, 0.018, 0.946], [0.758, 0.758, 0.232], [0.258, 0.258, 0.705], [0.258, 0.778, 0.705], [0.501, 0.501, 0.496], [0.694, 0.694, 0.918], [0.778, 0.258, 0.705], [0.220, 0.220, 0.341], [0.252, 0.758, 0.232], [0.758, 0.252, 0.232]]}

***

[10]
{"formula": "Li3TaO4", "functional": "r2SCAN", "state": "optimized geometry", "volume_a3_per_fu": 74.1, "formation_energy_ev_per_fu": -21.9, "lattice_angstrom": [[-5.325, -1.557, 2.259], [-1.648, -2.119, -5.355], [-0.457, -9.254, 0.463]], "species": ["Li", "O", "Ta", "Ta", "Li", "O", "Li", "Li", "Li", "Li", "O", "O", "Li", "O", "O", "Li", "Li", "Li", "Ta", "O", "O", "Li", "O", "O", "O", "O", "Ta", "O", "O", "O", "Li", "O"], "fractional_positions": [[0.437, 0.645, 0.875], [0.832, 0.052, 0.113], [0.938, 0.222, 0.875], [0.778, 0.062, 0.625], [0.943, 0.696, 0.863], [0.043, 0.290, 0.637], [0.057, 0.304, 0.137], [0.696, 0.943, 0.363], [0.304, 0.057, 0.637], [0.432, 0.196, 0.886], [0.569, 0.820, 0.632], [0.948, 0.168, 0.387], [0.645, 0.437, 0.375], [0.425, 0.697, 0.381], [0.168, 0.948, 0.887], [0.355, 0.563, 0.625], [0.563, 0.355, 0.125], [0.568, 0.804, 0.114], [0.062, 0.778, 0.125], [0.957, 0.710, 0.363], [0.575, 0.303, 0.619], [0.804, 0.568, 0.614], [0.303, 0.575, 0.119], [0.697, 0.425, 0.881], [0.052, 0.832, 0.613], [0.290, 0.043, 0.137], [0.222, 0.938, 0.375], [0.431, 0.180, 0.368], [0.820, 0.569, 0.132], [0.710, 0.957, 0.863], [0.196, 0.432, 0.386], [0.180, 0.431, 0.868]]}

***

[11]
{"formula": "Li2TcO3", "functional": "r2SCAN", "state": "optimized geometry", "volume_a3_per_fu": 52.9, "formation_energy_ev_per_fu": -12.3, "lattice_angstrom": [[4.216, 2.564, 0.001], [-4.216, 2.564, 0.001], [0.000, 1.693, 9.783]], "species": ["O", "O", "O", "Tc", "O", "O", "O", "O", "Li", "Li", "Tc", "Li", "Li", "Li", "Li", "O", "O", "O", "Li", "Tc", "O", "Tc", "O", "Li"], "fractional_positions": [[0.208, 0.042, 0.880], [0.381, 0.892, 0.363], [0.892, 0.381, 0.863], [0.068, 0.932, 0.250], [0.958, 0.792, 0.620], [0.108, 0.619, 0.137], [0.546, 0.724, 0.864], [0.619, 0.108, 0.637], [0.000, 0.500, 0.500], [0.350, 0.188, 0.496], [0.767, 0.233, 0.250], [0.583, 0.417, 0.750], [0.500, 0.000, 0.000], [0.650, 0.812, 0.504], [0.812, 0.650, 0.004], [0.454, 0.276, 0.136], [0.276, 0.454, 0.636], [0.792, 0.958, 0.120], [0.417, 0.583, 0.250], [0.932, 0.068, 0.750], [0.724, 0.546, 0.364], [0.233, 0.767, 0.750], [0.042, 0.208, 0.380], [0.188, 0.350, 0.996]]}

***

[12]
{"formula": "Li6TeO6", "functional": "r2SCAN", "state": "optimized geometry", "volume_a3_per_fu": 123.5, "formation_energy_ev_per_fu": -26.2, "lattice_angstrom": [[4.996, 0.005, -0.977], [-1.187, 4.853, -0.977], [0.004, 0.005, 5.091]], "species": ["O", "Li", "O", "Li", "Te", "O", "O", "Li", "Li", "Li", "O", "O", "Li"], "fractional_positions": [[0.221, 0.323, 0.936], [0.701, 0.916, 0.406], [0.936, 0.221, 0.323], [0.916, 0.406, 0.701], [0.000, 0.000, 0.000], [0.064, 0.779, 0.677], [0.779, 0.677, 0.064], [0.084, 0.594, 0.299], [0.594, 0.299, 0.084], [0.299, 0.084, 0.594], [0.677, 0.064, 0.779], [0.323, 0.936, 0.221], [0.406, 0.701, 0.916]]}

***

| no. | theoretical density (g/cm³) |
| --- | --- |
| 1 | 3.54 |
| 2 | 6.12 |
| 3 | 3.00 |
| 4 | 2.26 |
| 5 | 3.07 |
| 6 | 6.67 |
| 7 | 5.91 |
| 8 | 6.76 |
| 9 | 6.62 |
| 10 | 5.96 |
| 11 | 5.02 |
| 12 | 3.57 |